[1]
Computed, not measured: a geometry-optimized K5ThP3S12 structure at the PBE-GGA level of DFT.

Lattice parameters (Å, degrees): 11.587 9.849 22.551 64.23 90.00 90.00
Element x y z (fractional)
S (0.772, 0.934, 0.161)
S (0.398, 0.475, 0.581)
P (0.831, 0.335, 0.262)
S (0.063, 0.143, 0.432)
Th (0.148, 0.026, 0.581)
S (0.737, 0.404, 0.179)
S (0.777, 0.250, 0.844)
K (0.844, 0.627, 0.758)
S (0.069, 0.855, 0.718)
S (0.076, 0.489, 0.738)
S (0.595, 0.876, 0.422)
P (0.669, 0.335, 0.762)
K (0.408, 0.557, 0.084)
S (0.563, 0.857, 0.068)
Th (0.648, 0.974, 0.919)
S (0.931, 0.145, 0.282)
S (0.424, 0.489, 0.238)
S (0.905, 0.876, 0.922)
P (0.311, 0.300, 0.579)
K (0.892, 0.079, 0.750)
P (0.689, 0.700, 0.421)
S (0.936, 0.181, 0.580)
P (0.329, 0.989, 0.919)
K (0.096, 0.279, 0.903)
S (0.095, 0.124, 0.078)
K (0.108, 0.921, 0.250)
S (0.797, 0.642, 0.501)
K (0.859, 0.301, 0.079)
S (0.297, 0.197, 0.159)
S (0.703, 0.803, 0.841)
S (0.730, 0.096, 0.497)
S (0.237, 0.596, 0.321)
K (0.156, 0.373, 0.242)
P (0.169, 0.665, 0.738)
S (0.223, 0.750, 0.156)
Th (0.852, 0.974, 0.419)
S (0.763, 0.404, 0.679)
S (0.228, 0.066, 0.839)
S (0.437, 0.143, 0.932)
S (0.203, 0.358, 0.499)
K (0.092, 0.557, 0.584)
K (0.656, 0.627, 0.258)
K (0.596, 0.721, 0.597)
K (0.392, 0.921, 0.750)
S (0.263, 0.596, 0.821)
S (0.770, 0.096, 0.997)
K (0.908, 0.443, 0.416)
S (0.431, 0.855, 0.218)
S (0.203, 0.197, 0.659)
P (0.331, 0.665, 0.238)
K (0.608, 0.079, 0.250)
P (0.829, 0.011, 0.581)
S (0.569, 0.145, 0.782)
Th (0.352, 0.026, 0.081)
K (0.904, 0.721, 0.097)
P (0.189, 0.300, 0.079)
S (0.797, 0.803, 0.341)
S (0.564, 0.181, 0.080)
P (0.811, 0.700, 0.921)
K (0.359, 0.699, 0.421)
S (0.924, 0.511, 0.262)
P (0.171, 0.989, 0.419)
K (0.344, 0.373, 0.742)
S (0.270, 0.904, 0.503)
S (0.436, 0.819, 0.920)
P (0.671, 0.011, 0.081)
S (0.297, 0.358, 0.999)
S (0.272, 0.066, 0.339)
K (0.404, 0.279, 0.403)
S (0.405, 0.124, 0.578)
S (0.937, 0.857, 0.568)
S (0.723, 0.250, 0.344)
S (0.728, 0.934, 0.661)
K (0.641, 0.301, 0.579)
K (0.141, 0.699, 0.921)
K (0.592, 0.443, 0.916)
S (0.064, 0.819, 0.420)
S (0.602, 0.525, 0.419)
S (0.703, 0.642, 0.001)
S (0.576, 0.511, 0.762)
S (0.230, 0.904, 0.003)
S (0.277, 0.750, 0.656)
S (0.102, 0.475, 0.081)
S (0.898, 0.525, 0.919)

Computed properties:
The formation energy is -1303.8 meV/atom. Its symmetry is P2_1/c, No. 14. As for the total energy: -4.77 eV per atom. The total moment is 0.00 Bohr magnetons per cell.

---

[2]
Computed, not measured: a geometry-optimized Na4CaHf3Si3S3O24 structure at the PBE-GGA level of DFT.

Lattice parameters (Å, degrees): 9.110 9.104 23.229 89.55 90.32 119.93
Element x y z (fractional)
Si (0.333, 0.375, 0.418)
O (0.469, 0.305, 0.748)
O (0.897, 0.358, 0.637)
O (0.825, 0.006, 0.806)
Na (0.655, 0.323, 0.835)
O (0.902, 0.543, 0.137)
Na (0.006, 0.022, 0.491)
S (0.671, 0.635, 0.581)
Ca (0.009, 0.009, 0.355)
Si (0.289, 0.296, 0.752)
S (0.964, 0.335, 0.583)
Na (0.004, 0.015, 0.001)
O (0.137, 0.484, 0.575)
O (0.521, 0.381, 0.427)
O (0.510, 0.846, 0.472)
O (0.803, 0.774, 0.313)
Hf (0.340, 0.667, 0.818)
Si (0.626, 0.961, 0.418)
O (0.189, 0.172, 0.806)
O (0.166, 0.465, 0.255)
O (0.697, 0.165, 0.749)
Hf (0.994, 0.009, 0.651)
O (0.979, 0.177, 0.586)
Na (0.640, 0.315, 0.324)
Hf (0.989, 0.988, 0.149)
Hf (0.353, 0.680, 0.314)
Hf (0.666, 0.309, 0.979)
Hf (0.330, 0.674, 0.016)
O (0.985, 0.798, 0.802)
O (0.543, 0.691, 0.968)
O (0.984, 0.805, 0.085)
O (0.342, 0.482, 0.071)
Na (0.385, 0.016, 0.759)
O (0.217, 0.041, 0.305)
O (0.017, 0.803, 0.419)
O (0.167, 0.711, 0.754)
S (0.364, 0.032, 0.583)
O (0.679, 0.515, 0.244)
O (0.363, 0.493, 0.360)
O (0.639, 0.512, 0.925)
O (0.025, 0.823, 0.697)
O (0.689, 0.549, 0.530)
O (0.137, 0.652, 0.073)
S (0.006, 0.298, 0.249)
O (0.514, 0.877, 0.359)
O (0.361, 0.874, 0.856)
O (0.463, 0.316, 0.033)
O (0.826, 0.806, 0.586)
S (0.624, 0.665, 0.918)
O (0.289, 0.811, 0.257)
O (0.511, 0.827, 0.755)
Si (0.705, 0.991, 0.752)
O (0.171, 0.972, 0.193)
O (0.865, 0.331, 0.240)
S (0.366, 0.333, 0.081)
O (0.514, 0.691, 0.254)
Si (0.041, 0.382, 0.917)
O (0.129, 0.489, 0.857)
Na (0.376, 0.350, 0.252)
Na (0.634, 0.004, 0.239)
O (0.014, 0.190, 0.912)
O (0.793, 0.815, 0.910)
Si (0.704, 0.701, 0.254)
Si (0.293, 0.997, 0.250)
O (0.460, 0.148, 0.533)
O (0.852, 0.315, 0.534)
O (0.488, 0.150, 0.245)
O (0.461, 0.099, 0.636)
Si (0.669, 0.024, 0.085)
Na (0.357, 0.695, 0.162)
O (0.644, 0.536, 0.634)
Na (0.699, 0.678, 0.404)
O (0.803, 0.834, 0.199)
O (0.688, 0.157, 0.031)
O (0.868, 0.501, 0.428)
Na (0.357, 0.664, 0.674)
Si (0.330, 0.959, 0.914)
O (0.178, 0.190, 0.422)
S (0.040, 0.656, 0.420)
O (0.797, 0.969, 0.693)
O (0.852, 0.542, 0.033)
O (0.847, 0.016, 0.086)
O (0.033, 0.214, 0.198)
O (0.197, 0.177, 0.085)
Na (0.990, 0.350, 0.758)
O (0.496, 0.150, 0.923)
O (0.864, 0.545, 0.745)
O (0.518, 0.640, 0.865)
Hf (0.656, 0.322, 0.477)
O (0.506, 0.835, 0.072)
Hf (0.340, 0.665, 0.516)
Ca (0.657, 0.320, 0.176)
Na (0.988, 0.648, 0.248)
Ca (0.661, 0.334, 0.686)
O (0.854, 0.366, 0.924)
O (0.166, 0.197, 0.694)
S (0.006, 0.719, 0.751)
O (0.291, 0.477, 0.755)
O (0.457, 0.364, 0.136)
O (0.157, 0.968, 0.909)
O (0.195, 0.020, 0.586)
Hf (0.008, 0.021, 0.858)
O (0.326, 0.484, 0.473)
O (0.165, 0.474, 0.970)
O (0.519, 0.659, 0.575)
O (0.113, 0.632, 0.367)
O (0.340, 0.860, 0.574)
S (0.965, 0.632, 0.082)
O (0.644, 0.150, 0.426)
O (0.969, 0.194, 0.301)
O (0.637, 0.084, 0.145)
O (0.315, 0.841, 0.969)
O (0.145, 0.670, 0.471)
O (0.800, 0.960, 0.422)

Computed properties:
The formation energy is -2856.6 meV/atom. Its symmetry is P1, No. 1. As for the total energy: -7.28 eV per atom. The total moment is 0.00 Bohr magnetons per cell.

---

[3]
Computed, not measured: a geometry-optimized SrIn2Te4 structure at the PBE-GGA level of DFT.

Lattice parameters (Å, degrees): 7.211 7.211 7.211 104.55 104.55 119.84
Element x y z (fractional)
Te (0.316, 0.169, 0.486)
Sr (0.500, 0.500, 0.000)
Te (0.169, 0.684, 0.853)
Te (0.684, 0.831, 0.514)
Te (0.831, 0.316, 0.147)
In (0.750, 0.250, 0.500)
In (0.250, 0.750, 0.500)

Computed properties:
The formation energy is -896.9 meV/atom. Its symmetry is I4/m, No. 87. As for the total energy: -3.48 eV per atom. The total moment is 0.00 Bohr magnetons per cell.

---

[4]
Computed, not measured: a geometry-optimized MnSi2Ni structure at the PBE-GGA level of DFT.

Lattice parameters (Å, degrees): 4.503 4.509 4.520 89.12 90.00 90.00
Element x y z (fractional)
Ni (0.139, 0.142, 0.894)
Si (0.844, 0.848, 0.587)
Mn (0.356, 0.638, 0.609)
Mn (0.856, 0.362, 0.391)
Ni (0.639, 0.858, 0.106)
Si (0.161, 0.654, 0.095)
Si (0.344, 0.152, 0.413)
Si (0.661, 0.346, 0.905)

Computed properties:
The formation energy is -477.6 meV/atom. Its symmetry is P2_1, No. 4. As for the total energy: -6.93 eV per atom. The total moment is 1.99 Bohr magnetons per cell.

---

[5]
Computed, not measured: a geometry-optimized Pb2O3 structure at the PBE-GGA level of DFT.

Lattice parameters (Å, degrees): 8.434 5.719 6.969 86.82 90.00 90.00
Element x y z (fractional)
O (0.751, 0.258, 0.241)
Pb (0.250, 0.997, 0.500)
O (0.247, 0.740, 0.767)
Pb (0.750, 0.997, 0.500)
Pb (0.500, 0.500, 0.751)
Pb (0.500, 0.495, 0.243)
Pb (0.250, 0.003, 0.001)
O (0.500, 0.905, 0.995)
Pb (0.000, 0.505, 0.750)
O (0.500, 0.106, 0.500)
Pb (0.750, 0.003, 0.001)
O (0.256, 0.741, 0.263)
O (0.246, 0.259, 0.734)
O (0.000, 0.879, 0.499)
O (0.754, 0.259, 0.734)
O (0.744, 0.741, 0.263)
Pb (0.000, 0.502, 0.247)
O (0.000, 0.112, 0.002)
O (0.753, 0.740, 0.767)
O (0.249, 0.258, 0.241)

Computed properties:
The formation energy is -1191.8 meV/atom. Its symmetry is Pm, No. 6. As for the total energy: -5.23 eV per atom. The total moment is 0.00 Bohr magnetons per cell.

---

[6]
Computed, not measured: a geometry-optimized SrBrO5 structure at the PBE-GGA level of DFT.

Lattice parameters (Å, degrees): 5.824 6.947 8.878 102.93 87.59 109.48
Element x y z (fractional)
Br (0.559, 0.236, 0.275)
O (0.172, 0.576, 0.317)
O (0.828, 0.424, 0.683)
O (0.248, 0.684, 0.219)
Sr (0.981, 0.859, 0.727)
Br (0.441, 0.764, 0.725)
O (0.752, 0.316, 0.781)
O (0.938, 0.903, 0.458)
O (0.769, 0.635, 0.061)
O (0.062, 0.097, 0.542)
O (0.112, 0.188, 0.971)
O (0.888, 0.812, 0.029)
Sr (0.019, 0.141, 0.273)
O (0.231, 0.365, 0.939)

Computed properties:
The calculation puts the offset from the most stable computed form at 0 meV per atom. The formation energy is -891.1 meV/atom. Its symmetry is P-1, No. 2. As for the total energy: -4.79 eV per atom. The total moment is 8.00 Bohr magnetons per cell.

---

[7]
Computed, not measured: a geometry-optimized VSi2 structure at the PBE-GGA level of DFT.

Lattice parameters (Å, degrees): 4.565 4.565 6.372 90.00 90.00 120.00
Element x y z (fractional)
Si (0.674, 0.837, 0.333)
V (0.000, 0.500, 0.333)
Si (0.837, 0.674, 0.000)
V (0.500, 0.500, 0.667)
V (0.500, 0.000, 0.000)
Si (0.163, 0.326, 0.000)
Si (0.163, 0.837, 0.667)
Si (0.837, 0.163, 0.667)
Si (0.326, 0.163, 0.333)

Computed properties:
The formation energy is -436.7 meV/atom. Its symmetry is P6_422, No. 181. As for the total energy: -7.13 eV per atom. The total moment is 0.78 Bohr magnetons per cell.

---

[8]
Computed, not measured: a geometry-optimized NbSe4 structure at the PBE-GGA level of DFT.

Lattice parameters (Å, degrees): 5.971 5.971 6.526 90.00 90.00 90.00
Element x y z (fractional)
Se (0.864, 0.666, 0.000)
Se (0.864, 0.334, 0.500)
Nb (0.000, 0.000, 0.250)
Se (0.136, 0.666, 0.500)
Se (0.136, 0.334, 0.000)
Nb (0.000, 0.000, 0.750)
Se (0.666, 0.864, 0.500)
Se (0.334, 0.864, 0.000)
Se (0.334, 0.136, 0.500)
Se (0.666, 0.136, 0.000)

Computed properties:
The formation energy is -899.2 meV/atom. Its symmetry is P4/mcc, No. 124. As for the total energy: -5.34 eV per atom.

---

[9]
Computed, not measured: a geometry-optimized Na2Zn3SnS6O24 structure at the PBE-GGA level of DFT.

Lattice parameters (Å, degrees): 8.707 8.707 22.783 90.00 90.00 120.00
Element x y z (fractional)
O (0.150, 0.447, 0.970)
O (0.184, 0.971, 0.196)
O (0.647, 0.509, 0.923)
O (0.179, 0.208, 0.699)
Zn (0.333, 0.667, 0.320)
O (0.967, 0.182, 0.303)
S (0.373, 0.330, 0.083)
Zn (0.333, 0.667, 0.519)
O (0.023, 0.832, 0.410)
O (0.195, 0.022, 0.589)
Na (0.333, 0.667, 0.661)
O (0.884, 0.363, 0.638)
O (0.491, 0.138, 0.923)
O (0.193, 0.176, 0.088)
O (0.792, 0.972, 0.699)
O (0.029, 0.213, 0.196)
Na (0.667, 0.333, 0.829)
O (0.808, 0.832, 0.911)
Zn (0.000, 0.000, 0.643)
S (0.666, 0.626, 0.583)
S (0.670, 0.043, 0.083)
Na (0.000, 0.000, 0.505)
Zn (0.333, 0.667, 0.811)
O (0.161, 0.470, 0.256)
S (0.001, 0.295, 0.249)
S (0.337, 0.376, 0.416)
S (0.335, 0.961, 0.915)
O (0.824, 0.018, 0.088)
O (0.550, 0.851, 0.469)
O (0.142, 0.643, 0.077)
O (0.695, 0.547, 0.530)
O (0.359, 0.477, 0.362)
O (0.501, 0.858, 0.077)
S (0.374, 0.039, 0.583)
Sn (0.000, 0.000, 0.352)
S (0.704, 0.001, 0.748)
O (0.518, 0.642, 0.864)
O (0.882, 0.517, 0.135)
O (0.982, 0.807, 0.088)
O (0.357, 0.499, 0.077)
O (0.118, 0.641, 0.362)
O (0.839, 0.309, 0.244)
O (0.028, 0.821, 0.699)
O (0.688, 0.161, 0.745)
Sn (0.333, 0.667, 0.018)
S (0.957, 0.627, 0.083)
Na (0.000, 0.000, 0.005)
S (0.624, 0.960, 0.416)
O (0.309, 0.839, 0.256)
S (0.297, 0.296, 0.748)
S (0.961, 0.334, 0.583)
O (0.358, 0.876, 0.864)
O (0.523, 0.882, 0.362)
O (0.215, 0.033, 0.303)
O (0.857, 0.548, 0.028)
O (0.635, 0.118, 0.135)
Zn (0.667, 0.333, 0.676)
Zn (0.667, 0.333, 0.487)
O (0.308, 0.469, 0.757)
O (0.168, 0.977, 0.911)
O (0.355, 0.861, 0.578)
O (0.818, 0.785, 0.303)
S (0.040, 0.663, 0.416)
Na (0.333, 0.667, 0.173)
O (0.452, 0.308, 0.028)
O (0.978, 0.173, 0.589)
Sn (0.000, 0.000, 0.846)
O (0.472, 0.312, 0.745)
O (0.479, 0.116, 0.638)
S (0.705, 0.706, 0.249)
O (0.691, 0.530, 0.244)
O (0.839, 0.528, 0.745)
O (0.023, 0.192, 0.911)
S (0.627, 0.665, 0.915)
O (0.139, 0.495, 0.578)
O (0.553, 0.703, 0.970)
Zn (0.000, 0.000, 0.152)
O (0.649, 0.140, 0.422)
S (0.039, 0.373, 0.915)
O (0.470, 0.161, 0.244)
O (0.297, 0.850, 0.970)
O (0.222, 0.187, 0.807)
O (0.852, 0.305, 0.530)
O (0.149, 0.699, 0.469)
O (0.692, 0.143, 0.028)
O (0.124, 0.482, 0.864)
O (0.530, 0.691, 0.256)
O (0.483, 0.365, 0.135)
S (0.294, 0.999, 0.249)
O (0.531, 0.839, 0.757)
O (0.491, 0.351, 0.422)
O (0.862, 0.353, 0.923)
O (0.637, 0.521, 0.638)
O (0.453, 0.148, 0.530)
Zn (0.667, 0.333, 0.986)
O (0.787, 0.816, 0.196)
S (0.999, 0.703, 0.748)
O (0.168, 0.191, 0.410)
O (0.809, 0.977, 0.410)
O (0.860, 0.509, 0.422)
O (0.505, 0.645, 0.578)
Zn (0.667, 0.333, 0.187)
O (0.813, 0.036, 0.807)
O (0.161, 0.692, 0.757)
Na (0.667, 0.333, 0.336)
O (0.827, 0.805, 0.589)
O (0.964, 0.778, 0.807)
O (0.301, 0.450, 0.469)

Computed properties:
The formation energy is -1922.2 meV/atom. Its symmetry is P3, No. 143. As for the total energy: -5.74 eV per atom. The total moment is 0.00 Bohr magnetons per cell.